DFT (PBE-GGA) results for crystalline Hf9Ni11 at its relaxed geometry.

Lattice parameters (Å, degrees): 6.379 7.696 7.696 80.11 65.51 65.51
Positions (direct):
Hf 0.000 0.000 0.000
Hf 0.691 0.402 0.217
Hf 0.309 0.598 0.783
Hf 0.093 0.217 0.598
Hf 0.907 0.783 0.402
Hf 0.756 0.656 0.831
Hf 0.244 0.344 0.169
Hf 0.412 0.831 0.344
Hf 0.588 0.169 0.656
Ni 0.500 0.000 0.000
Ni 0.250 0.500 0.500
Ni 0.750 0.500 0.500
Ni 0.675 0.336 0.894
Ni 0.906 0.664 0.106
Ni 0.011 0.894 0.664
Ni 0.569 0.106 0.336
Ni 0.325 0.664 0.106
Ni 0.094 0.336 0.894
Ni 0.989 0.106 0.336
Ni 0.431 0.894 0.664

## Properties
The value obtained for the formation enthalpy at 0 K is -0.456 eV per atom.